(1)
The following is a DFT calculation (PBE) of an optimized crystal structure of IrC4.

a = 4.2380 Å, b = 4.2380 Å, c = 13.8193 Å
α = 90.00°, β = 90.00°, γ = 120.00°
Closest atoms and distances in Å follow each position.
Fractional coordinates of all 20 atoms:
Ir  0.0000  0.0000  0.2500  3 Ir 2.45, 6 C 2.54
Ir  0.0000  0.0000  0.7500  3 Ir 2.45, 6 C 2.54
Ir  0.3333  0.6667  0.2500  3 Ir 2.45, 6 C 2.54
Ir  0.6667  0.3333  0.7500  3 Ir 2.45, 6 C 2.54
C  0.0000  0.3321  0.0000  3 C 1.41-1.42
C  0.0000  0.3321  0.5000  3 C 1.41-1.42
C  0.0000  0.6679  0.0000  3 C 1.41-1.42
C  0.0000  0.6679  0.5000  3 C 1.41-1.42
C  0.3321  0.0000  0.0000  3 C 1.41-1.42
C  0.3321  0.0000  0.5000  3 C 1.41-1.42
C  0.3321  0.3321  0.0000  3 C 1.41-1.42
C  0.3321  0.3321  0.5000  3 C 1.41-1.42
C  0.3333  0.6667  0.7014  1 C 1.34
C  0.3333  0.6667  0.7986  1 C 1.34
C  0.6667  0.3333  0.2014  1 C 1.34
C  0.6667  0.3333  0.2986  1 C 1.34
C  0.6679  0.0000  0.0000  3 C 1.41-1.42
C  0.6679  0.0000  0.5000  3 C 1.41-1.42
C  0.6679  0.6679  0.0000  3 C 1.41-1.42
C  0.6679  0.6679  0.5000  3 C 1.41-1.42

Output
M_tot, μB per cell: 0.000
Offset from the most stable computed form, meV/atom: 345

(2)
The following is a DFT calculation (PBE) of an optimized crystal structure of IrC4.

a = 4.9490 Å, b = 4.9490 Å, c = 4.9021 Å
α = 90.00°, β = 90.00°, γ = 128.17°
Closest atoms and distances in Å follow each position.
Fractional coordinates of all 10 atoms:
Ir  0.2500  0.7500  0.7500  4 C 2.19
Ir  0.7500  0.2500  0.2500  4 C 2.19
C  0.0675  0.1008  0.1262  3 C 1.42-1.47
C  0.1008  0.0675  0.6262  3 C 1.42-1.47
C  0.3992  0.4325  0.6262  3 C 1.42-1.47
C  0.4325  0.3992  0.1262  3 C 1.42-1.47
C  0.5675  0.6008  0.8738  3 C 1.42-1.47
C  0.6008  0.5675  0.3738  3 C 1.42-1.47
C  0.8992  0.9325  0.3738  3 C 1.42-1.47
C  0.9325  0.8992  0.8738  3 C 1.42-1.47

Output
M_tot, μB per cell: 0.000
Offset from the most stable computed form, meV/atom: 0

(3)
The following is a DFT calculation (PBE) of an optimized crystal structure of IrC6N9.

a = 7.7257 Å, b = 7.7257 Å, c = 11.5486 Å
α = 90.00°, β = 90.00°, γ = 124.97°
Closest atoms and distances in Å follow each position.
Fractional coordinates of all 32 atoms:
Ir  0.2191  0.7809  0.7500  6 N 2.05
Ir  0.7809  0.2191  0.2500  6 N 2.05
C  0.0246  0.2922  0.7500  2 N 1.18-1.29
C  0.1976  0.4855  0.1005  2 N 1.18-1.29
C  0.1976  0.4855  0.3995  2 N 1.18-1.29
C  0.2922  0.0246  0.2500  2 N 1.18-1.29
C  0.4855  0.1976  0.6005  2 N 1.18-1.29
C  0.4855  0.1976  0.8995  2 N 1.18-1.29
C  0.5145  0.8024  0.1005  2 N 1.18-1.29
C  0.5145  0.8024  0.3995  2 N 1.18-1.29
C  0.7078  0.9754  0.7500  2 N 1.18-1.29
C  0.8024  0.5145  0.6005  2 N 1.18-1.29
C  0.8024  0.5145  0.8995  2 N 1.18-1.29
C  0.9754  0.7078  0.2500  2 N 1.18-1.29
N  0.0275  0.3547  0.1353  1 C 1.18
N  0.0275  0.3547  0.3647  1 C 1.18
N  0.0884  0.9116  0.2500  2 C 1.29
N  0.1391  0.4779  0.7500  1 C 1.18
N  0.3547  0.0275  0.6353  1 C 1.18
N  0.3547  0.0275  0.8647  1 C 1.18
N  0.3812  0.6188  0.0562  2 C 1.29
N  0.3812  0.6188  0.4438  2 C 1.29
N  0.4779  0.1391  0.2500  1 C 1.18
N  0.5221  0.8609  0.7500  1 C 1.18
N  0.6188  0.3812  0.5562  2 C 1.29
N  0.6188  0.3812  0.9438  2 C 1.29
N  0.6453  0.9725  0.1353  1 C 1.18
N  0.6453  0.9725  0.3647  1 C 1.18
N  0.8609  0.5221  0.2500  1 C 1.18
N  0.9116  0.0884  0.7500  2 C 1.29
N  0.9725  0.6453  0.6353  1 C 1.18
N  0.9725  0.6453  0.8647  1 C 1.18

Output
M_tot, μB per cell: 0.000

(4)
The following is a DFT calculation (PBE) of an optimized crystal structure of Ir2C3N6.

a = 8.4839 Å, b = 8.4839 Å, c = 5.0949 Å
α = 98.65°, β = 98.65°, γ = 22.05°
Closest atoms and distances in Å follow each position.
Fractional coordinates of all 11 atoms:
Ir  0.1702  0.1702  0.3497  6 N 1.97-2.16
Ir  0.8298  0.8298  0.6503  6 N 1.97-2.16
C  0.0000  0.0000  0.5000  2 N 1.23
C  0.3246  0.3246  0.1471  2 N 1.22-1.28
C  0.6754  0.6754  0.8529  2 N 1.22-1.28
N  0.0524  0.0524  0.3549  1 C 1.23
N  0.3011  0.3011  0.3740  1 C 1.28
N  0.3370  0.3370  0.9179  1 C 1.22
N  0.6630  0.6630  0.0821  1 C 1.22
N  0.6989  0.6989  0.6260  1 C 1.28
N  0.9476  0.9476  0.6451  1 C 1.23

Output
M_tot, μB per cell: 0.013

(5)
The following is a DFT calculation (PBE) of an optimized crystal structure of Sc5Ir15C4.

a = 4.0839 Å, b = 4.0839 Å, c = 20.6484 Å
α = 90.00°, β = 90.00°, γ = 90.00°
Closest atoms and distances in Å follow each position.
Fractional coordinates of all 24 atoms:
Sc  0.0000  0.0000  0.0000  12 Ir 2.88-2.89
Sc  0.0000  0.0000  0.2017  12 Ir 2.85-2.95
Sc  0.0000  0.0000  0.4081  12 Ir 2.79-3.06
Sc  0.0000  0.0000  0.5919  12 Ir 2.79-3.06
Sc  0.0000  0.0000  0.7983  12 Ir 2.85-2.95
Ir  0.0000  0.5000  0.0985  2 C 2.05
Ir  0.0000  0.5000  0.2979  2 C 2.08
Ir  0.0000  0.5000  0.5000  8 Ir 2.75-2.89, 4 Sc 2.79
Ir  0.0000  0.5000  0.7021  2 C 2.08
Ir  0.0000  0.5000  0.9015  2 C 2.05
Ir  0.5000  0.0000  0.0985  2 C 2.05
Ir  0.5000  0.0000  0.2979  2 C 2.08
Ir  0.5000  0.0000  0.5000  8 Ir 2.75-2.89, 4 Sc 2.79
Ir  0.5000  0.0000  0.7021  2 C 2.08
Ir  0.5000  0.0000  0.9015  2 C 2.05
Ir  0.5000  0.5000  0.0000  2 C 2.15
Ir  0.5000  0.5000  0.2014  1 C 2.01
Ir  0.5000  0.5000  0.4111  1 C 1.94
Ir  0.5000  0.5000  0.5889  1 C 1.94
Ir  0.5000  0.5000  0.7986  1 C 2.01
C  0.5000  0.5000  0.1042  6 Ir 2.01-2.15
C  0.5000  0.5000  0.3173  5 Ir 1.94-2.08
C  0.5000  0.5000  0.6827  5 Ir 1.94-2.08
C  0.5000  0.5000  0.8958  6 Ir 2.01-2.15

Output
M_tot, μB per cell: 0.005

(6)
The following is a DFT calculation (PBE) of an optimized crystal structure of U2IrC2.

a = 6.7117 Å, b = 6.7117 Å, c = 6.7117 Å
α = 149.97°, β = 149.97°, γ = 42.98°
Closest atoms and distances in Å follow each position.
Fractional coordinates of all 5 atoms:
U  0.1460  0.1460  0.0000  5 C 2.29-2.48
U  0.8540  0.8540  0.0000  5 C 2.29-2.48
Ir  0.5000  0.5000  0.0000  2 C 2.13
C  0.3296  0.3296  0.0000  1 Ir 2.13, 1 U 2.29
C  0.6704  0.6704  0.0000  1 Ir 2.13, 1 U 2.29

(7)
The following is a DFT calculation (PBE) of an optimized crystal structure of KC10.

a = 9.9944 Å, b = 9.9944 Å, c = 9.9944 Å
α = 109.47°, β = 109.47°, γ = 109.47°
Closest atoms and distances in Å follow each position.
Fractional coordinates of all 66 atoms:
K  0.2205  0.7205  0.5000  22 C 3.26-3.58
K  0.2795  0.5000  0.7795  22 C 3.26-3.58
K  0.5000  0.2205  0.7205  22 C 3.26-3.58
K  0.5000  0.7795  0.2795  22 C 3.26-3.58
K  0.7205  0.5000  0.2205  22 C 3.26-3.58
K  0.7795  0.2795  0.5000  22 C 3.26-3.58
C  0.0231  0.1627  0.3888  3 C 1.43-1.45
C  0.0231  0.6342  0.8604  3 C 1.43-1.45
C  0.0244  0.1629  0.7362  3 C 1.43-1.45
C  0.0244  0.2882  0.8615  3 C 1.43-1.45
C  0.0620  0.3035  0.3655  3 C 1.43-1.45
C  0.0620  0.6965  0.7585  3 C 1.43-1.45
C  0.1385  0.4267  0.1629  3 C 1.43-1.45
C  0.1385  0.9756  0.7118  3 C 1.43-1.45
C  0.1396  0.7739  0.1627  3 C 1.43-1.45
C  0.1396  0.9769  0.3658  3 C 1.43-1.45
C  0.1629  0.1385  0.4267  3 C 1.43-1.45
C  0.1627  0.1396  0.7739  3 C 1.43-1.45
C  0.1627  0.3888  0.0231  3 C 1.43-1.45
C  0.1629  0.7362  0.0244  3 C 1.43-1.45
C  0.2261  0.3658  0.3888  3 C 1.43-1.45
C  0.2261  0.8373  0.8604  3 C 1.43-1.45
C  0.2415  0.9380  0.3035  3 C 1.43-1.45
C  0.2638  0.4267  0.2882  3 C 1.43-1.45
C  0.2638  0.9756  0.8371  3 C 1.43-1.45
C  0.2882  0.2638  0.4267  3 C 1.43-1.45
C  0.2882  0.8615  0.0244  3 C 1.43-1.45
C  0.3035  0.2415  0.9380  3 C 1.43-1.45
C  0.3035  0.3655  0.0620  3 C 1.43-1.45
C  0.3655  0.0620  0.3035  3 C 1.43-1.45
C  0.3658  0.1396  0.9769  3 C 1.43-1.45
C  0.3658  0.3888  0.2261  3 C 1.43-1.45
C  0.3888  0.0231  0.1627  3 C 1.43-1.45
C  0.3888  0.2261  0.3658  3 C 1.43-1.45
C  0.4267  0.1629  0.1385  3 C 1.43-1.45
C  0.4267  0.2882  0.2638  3 C 1.43-1.45
C  0.5733  0.7118  0.7362  3 C 1.43-1.45
C  0.5733  0.8371  0.8615  3 C 1.43-1.45
C  0.6112  0.7739  0.6342  3 C 1.43-1.45
C  0.6112  0.9769  0.8373  3 C 1.43-1.45
C  0.6342  0.6112  0.7739  3 C 1.43-1.45
C  0.6342  0.8604  0.0231  3 C 1.43-1.45
C  0.6345  0.9380  0.6965  3 C 1.43-1.45
C  0.6965  0.6345  0.9380  3 C 1.43-1.45
C  0.6965  0.7585  0.0620  3 C 1.43-1.45
C  0.7118  0.1385  0.9756  3 C 1.43-1.45
C  0.7118  0.7362  0.5733  3 C 1.43-1.45
C  0.7362  0.0244  0.1629  3 C 1.43-1.45
C  0.7362  0.5733  0.7118  3 C 1.43-1.45
C  0.7585  0.0620  0.6965  3 C 1.43-1.45
C  0.7739  0.1627  0.1396  3 C 1.43-1.45
C  0.7739  0.6342  0.6112  3 C 1.43-1.45
C  0.8371  0.2638  0.9756  3 C 1.43-1.45
C  0.8373  0.6112  0.9769  3 C 1.43-1.45
C  0.8373  0.8604  0.2261  3 C 1.43-1.45
C  0.8371  0.8615  0.5733  3 C 1.43-1.45
C  0.8604  0.0231  0.6342  3 C 1.43-1.45
C  0.8604  0.2261  0.8373  3 C 1.43-1.45
C  0.8615  0.0244  0.2882  3 C 1.43-1.45
C  0.8615  0.5733  0.8371  3 C 1.43-1.45
C  0.9380  0.3035  0.2415  3 C 1.43-1.45
C  0.9380  0.6965  0.6345  3 C 1.43-1.45
C  0.9756  0.7118  0.1385  3 C 1.43-1.45
C  0.9756  0.8371  0.2638  3 C 1.43-1.45
C  0.9769  0.3658  0.1396  3 C 1.43-1.45
C  0.9769  0.8373  0.6112  3 C 1.43-1.45

Output
M_tot, μB per cell: 0.001

(8)
The following is a DFT calculation (PBE) of an optimized crystal structure of KC.

a = 9.1165 Å, b = 9.1165 Å, c = 9.1165 Å
α = 130.28°, β = 130.28°, γ = 72.96°
Closest atoms and distances in Å follow each position.
Fractional coordinates of all 16 atoms:
K  0.0582  0.2500  0.3082  6 C 3.03-3.16
K  0.2500  0.4418  0.1918  6 C 3.03-3.16
K  0.2500  0.9418  0.6918  6 C 3.03-3.16
K  0.4418  0.7500  0.1918  6 C 3.03-3.16
K  0.5582  0.2500  0.8082  6 C 3.03-3.16
K  0.7500  0.0582  0.3082  6 C 3.03-3.16
K  0.7500  0.5582  0.8082  6 C 3.03-3.16
K  0.9418  0.7500  0.6918  6 C 3.03-3.16
C  0.0665  0.4335  0.7500  1 C 1.27
C  0.1835  0.3165  0.7500  1 C 1.27
C  0.3165  0.0665  0.1330  1 C 1.27
C  0.4335  0.1835  0.3670  1 C 1.27
C  0.5665  0.8165  0.6330  1 C 1.27
C  0.6835  0.9335  0.8670  1 C 1.27
C  0.8165  0.6835  0.2500  1 C 1.27
C  0.9335  0.5665  0.2500  1 C 1.27

Output
M_tot, μB per cell: 0.000
Offset from the most stable computed form, meV/atom: 0

(9)
The following is a DFT calculation (PBE) of an optimized crystal structure of KLaCO4.

a = 5.9589 Å, b = 16.6651 Å, c = 5.9284 Å
α = 90.00°, β = 90.00°, γ = 90.00°
Closest atoms and distances in Å follow each position.
Fractional coordinates of all 28 atoms:
K  0.0000  0.0764  0.2500  1 O 2.55
K  0.0000  0.9236  0.7500  1 O 2.55
K  0.5000  0.0764  0.7500  1 O 2.55
K  0.5000  0.9236  0.2500  1 O 2.55
La  0.0000  0.4278  0.2500  6 O 2.39-2.47
La  0.0000  0.5722  0.7500  6 O 2.39-2.47
La  0.5000  0.4278  0.7500  6 O 2.39-2.47
La  0.5000  0.5722  0.2500  6 O 2.39-2.47
C  0.0000  0.2631  0.2500  2 O 1.24
C  0.0000  0.7369  0.7500  2 O 1.24
C  0.5000  0.2631  0.7500  2 O 1.24
C  0.5000  0.7369  0.2500  2 O 1.24
O  0.0000  0.0769  0.7500  1 K 2.55
O  0.0000  0.9231  0.2500  1 K 2.55
O  0.1247  0.2955  0.1104  1 C 1.24
O  0.1247  0.7045  0.6103  1 C 1.24
O  0.2500  0.5000  0.4903  4 La 2.39-2.46
O  0.2500  0.5000  0.9903  4 La 2.39-2.46
O  0.3753  0.2955  0.6103  1 C 1.24
O  0.3753  0.7045  0.1104  1 C 1.24
O  0.5000  0.0769  0.2500  1 K 2.55
O  0.5000  0.9231  0.7500  1 K 2.55
O  0.6247  0.2955  0.8896  1 C 1.24
O  0.6247  0.7045  0.3896  1 C 1.24
O  0.7500  0.5000  0.0097  4 La 2.39-2.46
O  0.7500  0.5000  0.5097  4 La 2.39-2.46
O  0.8753  0.2955  0.3896  1 C 1.24
O  0.8753  0.7045  0.8896  1 C 1.24

Output
M_tot, μB per cell: 8.000
Offset from the most stable computed form, meV/atom: 812

(10)
The following is a DFT calculation (PBE) of an optimized crystal structure of KLaCO4.

a = 3.6861 Å, b = 4.7606 Å, c = 12.1964 Å
α = 90.00°, β = 90.00°, γ = 90.00°
Closest atoms and distances in Å follow each position.
Fractional coordinates of all 14 atoms:
K  0.2500  0.2500  0.1058  1 O 2.61
K  0.7500  0.7500  0.8942  1 O 2.61
La  0.2500  0.2500  0.4022  2 O 2.29
La  0.7500  0.7500  0.5978  2 O 2.29
C  0.2500  0.2500  0.7850  3 O 1.30-1.31
C  0.7500  0.7500  0.2150  3 O 1.30-1.31
O  0.2500  0.0129  0.7325  1 C 1.30
O  0.2500  0.2500  0.8920  1 C 1.31
O  0.2500  0.4871  0.7325  1 C 1.30
O  0.2500  0.7500  0.4858  2 La 2.29
O  0.7500  0.2500  0.5142  2 La 2.29
O  0.7500  0.5129  0.2675  1 C 1.30
O  0.7500  0.7500  0.1080  1 C 1.31
O  0.7500  0.9871  0.2675  1 C 1.30

Output
M_tot, μB per cell: 0.000
Offset from the most stable computed form, meV/atom: 0

(11)
The following is a DFT calculation (PBE) of an optimized crystal structure of KLaC4O11.

a = 6.6075 Å, b = 7.7657 Å, c = 12.3135 Å
α = 106.86°, β = 100.94°, γ = 98.85°
Closest atoms and distances in Å follow each position.
Fractional coordinates of all 34 atoms:
K  0.1307  0.4188  0.3256  4 O 2.76-3.00
K  0.8693  0.5812  0.6744  4 O 2.76-3.00
La  0.1080  0.1299  0.7859  8 O 2.51-2.60
La  0.8920  0.8701  0.2141  8 O 2.51-2.60
C  0.0147  0.1034  0.5029  2 O 1.26-1.27
C  0.0166  0.9020  0.9700  2 O 1.26-1.27
C  0.3771  0.7698  0.2243  2 O 1.26-1.27
C  0.4166  0.9821  0.2431  2 O 1.26
C  0.5834  0.0179  0.7569  2 O 1.26
C  0.6229  0.2302  0.7757  2 O 1.26-1.27
C  0.9834  0.0980  0.0300  2 O 1.26-1.27
C  0.9853  0.8966  0.4971  2 O 1.26-1.27
O  0.0063  0.1338  0.4068  1 C 1.26
O  0.0340  0.2205  0.9851  1 C 1.26
O  0.0442  0.2231  0.6027  1 C 1.27
O  0.0926  0.8817  0.8810  1 C 1.27
O  0.1943  0.6941  0.2261  1 C 1.27
O  0.2627  0.0583  0.2529  1 C 1.26
O  0.2905  0.5846  0.9196  1 O 1.23
O  0.3494  0.6205  0.6538  1 O 2.37
O  0.3966  0.9413  0.7513  1 C 1.26
O  0.4675  0.6849  0.9465  1 O 1.23
O  0.4681  0.3046  0.7880  1 C 1.26
O  0.5319  0.6954  0.2120  1 C 1.26
O  0.5325  0.3151  0.0535  1 O 1.23
O  0.6034  0.0587  0.2487  1 C 1.26
O  0.6506  0.3795  0.3462  1 O 2.37
O  0.7095  0.4154  0.0804  1 O 1.23
O  0.7373  0.9417  0.7471  1 C 1.26
O  0.8057  0.3059  0.7739  1 C 1.27
O  0.9074  0.1183  0.1190  1 C 1.27
O  0.9558  0.7769  0.3973  1 C 1.27
O  0.9660  0.7795  0.0149  1 C 1.26
O  0.9937  0.8662  0.5932  1 C 1.26

Output
M_tot, μB per cell: 4.000
Offset from the most stable computed form, meV/atom: 0

(12)
The following is a DFT calculation (PBE) of an optimized crystal structure of K2LaPCO7.

a = 5.7387 Å, b = 7.4301 Å, c = 10.1771 Å
α = 90.00°, β = 92.73°, γ = 90.00°
Closest atoms and distances in Å follow each position.
Fractional coordinates of all 24 atoms:
K  0.2444  0.0130  0.2102  3 O 2.60-2.68
K  0.2444  0.4870  0.2102  3 O 2.60-2.68
K  0.7556  0.5130  0.7898  3 O 2.60-2.68
K  0.7556  0.9870  0.7898  3 O 2.60-2.68
La  0.2158  0.2500  0.6174  6 O 2.42-2.51
La  0.7842  0.7500  0.3826  6 O 2.42-2.51
P  0.2950  0.7500  0.5731  4 O 1.56-1.57
P  0.7050  0.2500  0.4269  4 O 1.56-1.57
C  0.2699  0.2500  0.9038  3 O 1.26-1.33
C  0.7301  0.7500  0.0962  3 O 1.26-1.33
O  0.0608  0.2500  0.8444  1 C 1.32
O  0.2022  0.5771  0.6393  1 P 1.56
O  0.2022  0.9229  0.6393  1 P 1.56
O  0.2102  0.7500  0.4237  1 P 1.57
O  0.3030  0.2500  0.0273  1 C 1.26
O  0.4315  0.2500  0.4189  1 P 1.57
O  0.4454  0.2500  0.8230  1 C 1.33
O  0.5546  0.7500  0.1770  1 C 1.33
O  0.5685  0.7500  0.5811  1 P 1.57
O  0.6970  0.7500  0.9727  1 C 1.26
O  0.7898  0.2500  0.5763  1 P 1.57
O  0.7978  0.0771  0.3607  1 P 1.56
O  0.7978  0.4229  0.3607  1 P 1.56
O  0.9392  0.7500  0.1556  1 C 1.32

Output
M_tot, μB per cell: 0.000

no.,ΔE_f (eV/atom)
1,0.923
2,0.579
3,0.387
4,0.358
5,-0.383
6,-0.342
7,0.223
8,0.249
9,-1.902
10,-2.714
11,-1.351
12,-2.785